[1]
GGA-PBE DyPb3, relaxed; total energy = -4.21 eV/atom; ΔH_f (0 K) = -0.28 eV per atom
1.0
4.898 0.000 0.000
0.000 4.898 0.000
0.000 0.000 4.898
Dy Pb
1 3
direct
0.000 0.000 0.000
0.000 0.500 0.500
0.500 0.000 0.500
0.500 0.500 0.000

---

[2]
GGA-PBE EuMg149, relaxed; total energy = -1.68 eV/atom; ΔH_f (0 K) = -0.02 eV per atom
1.0
15.992 0.000 0.000
-7.996 13.850 0.000
0.000 0.000 15.668
Eu Mg
1 149
direct
0.000 0.000 0.000
0.000 0.000 0.334
0.000 0.000 0.666
0.000 0.201 0.334
0.000 0.201 0.666
0.000 0.400 0.334
0.000 0.400 0.666
0.000 0.401 0.000
0.000 0.599 0.000
0.000 0.599 0.334
0.000 0.599 0.666
0.000 0.799 0.334
0.000 0.799 0.666
0.003 0.208 0.000
0.003 0.795 0.000
0.067 0.134 0.500
0.067 0.334 0.500
0.067 0.533 0.167
0.067 0.533 0.500
0.067 0.533 0.833
0.067 0.733 0.500
0.067 0.933 0.500
0.068 0.336 0.168
0.068 0.336 0.832
0.068 0.732 0.168
0.068 0.732 0.832
0.069 0.138 0.172
0.069 0.138 0.828
0.069 0.931 0.172
0.069 0.931 0.828
0.200 0.400 0.334
0.200 0.400 0.666
0.200 0.600 0.334
0.200 0.600 0.666
0.200 0.800 0.334
0.200 0.800 0.666
0.201 0.000 0.334
0.201 0.000 0.666
0.201 0.201 0.334
0.201 0.201 0.666
0.201 0.600 0.000
0.202 0.404 0.000
0.202 0.798 0.000
0.205 0.208 0.000
0.205 0.997 0.000
0.263 0.131 0.165
0.263 0.131 0.835
0.267 0.134 0.500
0.267 0.334 0.500
0.267 0.534 0.167
0.267 0.534 0.500
0.267 0.534 0.833
0.267 0.733 0.167
0.267 0.733 0.500
0.267 0.733 0.833
0.267 0.933 0.500
0.268 0.336 0.168
0.268 0.336 0.832
0.268 0.932 0.168
0.268 0.932 0.832
0.400 0.200 0.333
0.400 0.200 0.667
0.400 0.600 0.000
0.400 0.600 0.334
0.400 0.600 0.666
0.400 0.799 0.000
0.400 0.800 0.334
0.400 0.800 0.666
0.401 0.000 0.000
0.401 0.000 0.334
0.401 0.000 0.666
0.401 0.201 0.000
0.401 0.400 0.334
0.401 0.400 0.666
0.401 0.401 0.000
0.466 0.133 0.167
0.466 0.133 0.833
0.466 0.333 0.167
0.466 0.333 0.833
0.466 0.733 0.167
0.466 0.733 0.500
0.466 0.733 0.833
0.467 0.134 0.500
0.467 0.333 0.500
0.467 0.533 0.167
0.467 0.533 0.500
0.467 0.533 0.833
0.467 0.933 0.167
0.467 0.933 0.500
0.467 0.933 0.833
0.596 0.798 0.000
0.599 0.000 0.000
0.599 0.599 0.000
0.600 0.000 0.334
0.600 0.000 0.666
0.600 0.200 0.000
0.600 0.200 0.333
0.600 0.200 0.667
0.600 0.400 0.000
0.600 0.400 0.333
0.600 0.400 0.667
0.600 0.599 0.334
0.600 0.599 0.666
0.600 0.800 0.334
0.600 0.800 0.666
0.664 0.732 0.168
0.664 0.732 0.832
0.664 0.932 0.168
0.664 0.932 0.832
0.666 0.733 0.500
0.666 0.933 0.500
0.667 0.133 0.167
0.667 0.133 0.833
0.667 0.134 0.500
0.667 0.333 0.166
0.667 0.333 0.500
0.667 0.333 0.834
0.667 0.533 0.500
0.667 0.534 0.167
0.667 0.534 0.833
0.792 0.795 0.000
0.792 0.997 0.000
0.799 0.000 0.334
0.799 0.000 0.666
0.799 0.201 0.000
0.799 0.599 0.000
0.799 0.799 0.334
0.799 0.799 0.666
0.800 0.200 0.333
0.800 0.200 0.667
0.800 0.400 0.000
0.800 0.400 0.333
0.800 0.400 0.667
0.800 0.600 0.333
0.800 0.600 0.667
0.862 0.931 0.172
0.862 0.931 0.828
0.866 0.134 0.500
0.866 0.333 0.500
0.866 0.533 0.500
0.866 0.733 0.500
0.866 0.933 0.500
0.867 0.333 0.167
0.867 0.333 0.833
0.867 0.534 0.167
0.867 0.534 0.833
0.869 0.131 0.165
0.869 0.131 0.835
0.869 0.737 0.165
0.869 0.737 0.835

---

[3]
GGA-PBE Cd2B6PbO12, relaxed; energy with MP2020 corrections = -629.1 eV for the cell shown; total energy = -7.10 eV/atom; ΔH_f (0 K) = -2.49 eV per atom
1.0
6.648 0.000 0.000
0.000 7.087 0.000
-6.578 0.000 19.491
Cd B Pb O
8 24 4 48
direct
0.047 0.231 0.474
0.047 0.269 0.974
0.453 0.747 0.736
0.453 0.753 0.236
0.547 0.247 0.764
0.547 0.253 0.264
0.953 0.731 0.026
0.953 0.769 0.526
0.065 0.192 0.259
0.065 0.308 0.759
0.095 0.030 0.677
0.095 0.470 0.177
0.237 0.063 0.126
0.237 0.437 0.626
0.284 0.069 0.377
0.284 0.431 0.877
0.361 0.093 0.609
0.361 0.407 0.109
0.384 0.690 0.035
0.384 0.810 0.535
0.616 0.190 0.465
0.616 0.310 0.965
0.639 0.593 0.891
0.639 0.907 0.391
0.716 0.569 0.123
0.716 0.931 0.623
0.763 0.563 0.374
0.763 0.937 0.874
0.905 0.530 0.823
0.905 0.970 0.323
0.935 0.692 0.241
0.935 0.808 0.741
0.271 0.574 0.388
0.271 0.926 0.888
0.729 0.074 0.112
0.729 0.426 0.612
0.039 0.221 0.697
0.039 0.279 0.197
0.064 0.553 0.607
0.064 0.947 0.107
0.076 0.029 0.384
0.076 0.471 0.884
0.114 0.604 0.235
0.114 0.896 0.735
0.255 0.220 0.085
0.255 0.280 0.585
0.256 0.182 0.311
0.256 0.318 0.811
0.268 0.538 0.050
0.268 0.962 0.550
0.270 0.668 0.497
0.270 0.832 0.997
0.309 0.029 0.670
0.309 0.471 0.170
0.397 0.195 0.435
0.397 0.305 0.935
0.407 0.030 0.185
0.407 0.470 0.685
0.409 0.601 0.876
0.409 0.899 0.376
0.591 0.101 0.624
0.591 0.399 0.124
0.593 0.530 0.315
0.593 0.970 0.815
0.603 0.695 0.065
0.603 0.805 0.565
0.691 0.529 0.830
0.691 0.971 0.330
0.730 0.168 0.003
0.730 0.332 0.503
0.732 0.038 0.450
0.732 0.462 0.950
0.744 0.682 0.189
0.744 0.818 0.689
0.745 0.720 0.415
0.745 0.780 0.915
0.886 0.104 0.265
0.886 0.396 0.765
0.924 0.529 0.116
0.924 0.971 0.616
0.936 0.053 0.893
0.936 0.447 0.393
0.961 0.721 0.803
0.961 0.779 0.303

---

[4]
GGA-PBE Sm2SbO2, relaxed; energy with MP2020 corrections = -38.1 eV for the cell shown; total energy = -7.34 eV/atom; ΔH_f (0 K) = -2.92 eV per atom
1.0
-1.975 1.975 6.825
1.975 -1.975 6.825
1.975 1.975 -6.825
Sm Sb O
2 1 2
direct
0.164 0.164 0.000
0.836 0.836 0.000
0.500 0.500 0.000
0.250 0.750 0.500
0.750 0.250 0.500

---

[5]
GGA-PBE RhO2, relaxed; energy with MP2020 corrections = -41.8 eV for the cell shown; total energy = -6.51 eV/atom; ΔH_f (0 K) = -1.22 eV per atom
1.0
4.558 0.000 0.000
0.000 4.558 0.000
0.000 0.000 3.132
Rh O
2 4
direct
0.000 0.000 0.000
0.500 0.500 0.500
0.193 0.193 0.500
0.307 0.693 0.000
0.693 0.307 0.000
0.807 0.807 0.500

---

[6]
GGA-PBE La2Zn5Sn, relaxed; total energy = -3.00 eV/atom; ΔH_f (0 K) = -0.48 eV per atom
1.0
2.288 -8.404 0.000
2.288 8.404 0.000
0.000 0.000 9.160
La Zn Sn
4 10 2
direct
0.000 0.000 0.000
0.000 0.000 0.500
0.207 0.793 0.750
0.793 0.207 0.250
0.185 0.815 0.108
0.185 0.815 0.392
0.344 0.656 0.014
0.344 0.656 0.486
0.398 0.602 0.750
0.602 0.398 0.250
0.656 0.344 0.514
0.656 0.344 0.986
0.815 0.185 0.608
0.815 0.185 0.892
0.444 0.556 0.250
0.556 0.444 0.750

---

[7]
GGA-PBE Ni4Sn3, relaxed; total energy = -5.28 eV/atom; ΔH_f (0 K) = -0.26 eV per atom
1.0
7.066 0.000 0.000
0.000 5.214 0.000
-0.043 0.000 24.578
Ni Sn
32 24
direct
0.000 0.243 0.000
0.000 0.757 0.000
0.323 0.000 0.332
0.324 0.000 0.668
0.326 0.000 0.000
0.474 0.255 0.250
0.474 0.745 0.250
0.475 0.255 0.917
0.475 0.745 0.917
0.478 0.253 0.583
0.478 0.747 0.583
0.494 0.248 0.750
0.494 0.752 0.750
0.495 0.247 0.083
0.495 0.247 0.416
0.495 0.753 0.083
0.495 0.753 0.416
0.640 0.500 0.168
0.640 0.500 0.834
0.822 0.000 0.083
0.822 0.000 0.417
0.822 0.000 0.749
0.968 0.253 0.832
0.968 0.747 0.832
0.969 0.252 0.166
0.969 0.748 0.166
0.978 0.252 0.499
0.978 0.748 0.499
0.996 0.244 0.335
0.996 0.246 0.665
0.996 0.754 0.665
0.996 0.756 0.335
0.134 0.000 0.245
0.137 0.000 0.911
0.141 0.000 0.578
0.173 0.000 0.761
0.174 0.000 0.094
0.177 0.000 0.427
0.287 0.500 0.832
0.288 0.500 0.166
0.319 0.500 0.499
0.320 0.500 0.667
0.321 0.500 0.335
0.324 0.500 0.002
0.634 0.000 0.172
0.634 0.000 0.838
0.637 0.000 0.505
0.676 0.000 0.323
0.676 0.000 0.655
0.678 0.000 0.988
0.818 0.500 0.416
0.820 0.500 0.583
0.827 0.500 0.077
0.827 0.500 0.742
0.832 0.500 0.256
0.833 0.500 0.922

---

[8]
GGA-PBE MgTe2Mo2W2Se4S2, relaxed; energy with MP2020 corrections = -84.8 eV for the cell shown; total energy = -6.44 eV/atom; polymorph energy (0 for the lowest one) = 0.005 eV per atom; ΔH_f (0 K) = -0.54 eV per atom
1.0
3.337 0.000 0.000
-1.668 2.890 0.000
0.000 0.000 47.137
Mg Te Mo W Se S
1 2 2 2 4 2
direct
0.000 0.000 0.000
0.333 0.667 0.064
0.333 0.667 0.145
0.333 0.667 0.534
0.667 0.333 0.104
0.333 0.667 0.900
0.667 0.333 0.722
0.333 0.667 0.686
0.333 0.667 0.757
0.667 0.333 0.498
0.667 0.333 0.569
0.667 0.333 0.868
0.667 0.333 0.932

---

[9]
GGA-PBE Al13Ru4, relaxed; total energy = -5.58 eV/atom; ΔH_f (0 K) = -0.54 eV per atom
1.0
7.974 -4.109 0.000
7.974 4.109 0.000
-3.905 0.000 12.189
Al Ru
39 12
direct
0.000 0.000 0.000
0.019 0.019 0.670
0.083 0.651 0.609
0.087 0.641 0.980
0.094 0.534 0.390
0.099 0.543 0.165
0.178 0.178 0.217
0.190 0.190 0.726
0.223 0.758 0.830
0.242 0.777 0.170
0.249 0.751 0.500
0.261 0.261 0.543
0.264 0.264 0.961
0.349 0.917 0.391
0.359 0.913 0.020
0.418 0.418 0.714
0.428 0.428 0.920
0.432 0.432 0.325
0.457 0.901 0.835
0.466 0.906 0.610
0.534 0.094 0.390
0.543 0.099 0.165
0.568 0.568 0.675
0.572 0.572 0.080
0.582 0.582 0.286
0.641 0.087 0.980
0.651 0.083 0.609
0.736 0.736 0.039
0.739 0.739 0.457
0.751 0.249 0.500
0.758 0.223 0.830
0.777 0.242 0.170
0.810 0.810 0.274
0.822 0.822 0.783
0.901 0.457 0.835
0.906 0.466 0.610
0.913 0.359 0.020
0.917 0.349 0.391
0.981 0.981 0.330
0.099 0.099 0.876
0.100 0.100 0.515
0.116 0.523 0.778
0.408 0.408 0.512
0.415 0.415 0.117
0.477 0.884 0.222
0.523 0.116 0.778
0.585 0.585 0.883
0.592 0.592 0.488
0.884 0.477 0.222
0.900 0.900 0.485
0.901 0.901 0.124